Computed, not measured: a relaxed MoCl3O crystal at the GGA+U level of DFT.

Cell and atoms, written as POSCAR:
```
MoCl3O
1.0
14.275 0.000 0.000
0.000 6.222 0.000
0.000 0.251 6.249
Mo Cl O
4 12 4
Cartesian
9.489 2.131 6.054 Mo
2.351 1.231 0.195 Mo
4.786 4.342 0.195 Mo
11.924 5.243 6.054 Mo
13.253 4.207 4.474 Cl
6.116 5.378 1.775 Cl
1.021 2.267 1.775 Cl
8.159 1.096 4.474 Cl
9.814 3.989 4.598 Cl
2.677 5.596 1.651 Cl
4.461 2.485 1.651 Cl
11.598 0.878 4.598 Cl
11.507 2.817 0.993 Cl
4.370 0.545 5.257 Cl
2.768 3.657 5.257 Cl
9.905 5.928 0.993 Cl
8.365 2.428 0.940 O
1.227 0.935 5.309 O
5.910 4.046 5.309 O
13.048 5.539 0.940 O
```

Properties
- Energy of formation: -1.0380 eV/atom